No. 1
Tl4SnSe3 | PBE | relaxed

Results
crystal system	tetragonal
energy above the most stable polymorph in this dataset	37	meV/atom

Lattice parameters (Å, degrees): 8.8240 8.8240 8.8240 122.31 122.31 86.04
Fractional coordinates of all 16 atoms:
Tl: 0.0060 0.5060 0.2009
Tl: 0.1950 0.9940 0.5000
Tl: 0.3050 0.8050 0.7991
Tl: 0.4940 0.6950 0.5000
Tl: 0.5060 0.3050 0.5000
Tl: 0.6950 0.1950 0.2009
Tl: 0.8050 0.0060 0.5000
Tl: 0.9940 0.4940 0.7991
Sn: 0.0000 0.0000 0.0000
Sn: 0.5000 0.5000 0.0000
Se: 0.1650 0.3350 0.5000
Se: 0.2500 0.2500 0.0000
Se: 0.3350 0.8350 0.1700
Se: 0.6650 0.1650 0.8300
Se: 0.7500 0.7500 0.0000
Se: 0.8350 0.6650 0.5000


No. 2
Tl4SnSe3 | PBE | relaxed

Results
crystal system	monoclinic
energy above the most stable polymorph in this dataset	0	meV/atom

Lattice parameters (Å, degrees): 8.6902 8.6809 26.8062 90.00 90.08 90.00
Fractional coordinates of all 64 atoms:
Tl: 0.0761 0.2456 0.0745
Tl: 0.0786 0.4915 0.3265
Tl: 0.0812 0.2414 0.5767
Tl: 0.0876 0.4931 0.8273
Tl: 0.1145 0.5293 0.1749
Tl: 0.1149 0.5345 0.6755
Tl: 0.1160 0.2061 0.4254
Tl: 0.1344 0.1940 0.9317
Tl: 0.2544 0.8779 0.0283
Tl: 0.3740 0.2034 0.6764
Tl: 0.3752 0.5332 0.4251
Tl: 0.3796 0.2009 0.1736
Tl: 0.4100 0.2392 0.3211
Tl: 0.4107 0.5000 0.5729
Tl: 0.4172 0.2473 0.8253
Tl: 0.4227 0.4914 0.0757
Tl: 0.5773 0.9914 0.9243
Tl: 0.5828 0.7473 0.1747
Tl: 0.5893 0.0000 0.4271
Tl: 0.5900 0.7392 0.6789
Tl: 0.6204 0.7009 0.8264
Tl: 0.6248 0.0332 0.5749
Tl: 0.6260 0.7034 0.3236
Tl: 0.7456 0.3779 0.9717
Tl: 0.8656 0.6940 0.0683
Tl: 0.8840 0.7061 0.5746
Tl: 0.8851 0.0345 0.3245
Tl: 0.8855 0.0293 0.8251
Tl: 0.9124 0.9931 0.1727
Tl: 0.9188 0.7414 0.4233
Tl: 0.9214 0.9915 0.6735
Tl: 0.9239 0.7456 0.9255
Sn: 0.2412 0.8478 0.2568
Sn: 0.2435 0.8873 0.5058
Sn: 0.2445 0.8524 0.7574
Sn: 0.3503 0.5755 0.9324
Sn: 0.6497 0.0755 0.0676
Sn: 0.7555 0.3524 0.2426
Sn: 0.7565 0.3873 0.4942
Sn: 0.7588 0.3478 0.7432
Se: 0.0578 0.2237 0.2456
Se: 0.0608 0.2221 0.7475
Se: 0.0610 0.5131 0.4979
Se: 0.1058 0.5282 0.9975
Se: 0.2518 0.8522 0.8979
Se: 0.2553 0.8734 0.1545
Se: 0.2596 0.8638 0.4039
Se: 0.2616 0.8729 0.6540
Se: 0.3924 0.5577 0.7538
Se: 0.3937 0.5582 0.2512
Se: 0.3947 0.1798 0.5027
Se: 0.4328 0.2051 0.0044
Se: 0.5672 0.7051 0.9956
Se: 0.6053 0.6798 0.4973
Se: 0.6063 0.0582 0.7488
Se: 0.6076 0.0577 0.2462
Se: 0.7384 0.3729 0.3460
Se: 0.7404 0.3638 0.5961
Se: 0.7447 0.3734 0.8455
Se: 0.7482 0.3522 0.1021
Se: 0.8942 0.0282 0.0025
Se: 0.9390 0.0131 0.5021
Se: 0.9392 0.7221 0.2525
Se: 0.9422 0.7237 0.7544


No. 3
Tl3SnSe4 | PBE | relaxed

Results
crystal system	monoclinic

Lattice parameters (Å, degrees): 8.3689 8.4250 15.2931 90.00 99.23 90.00
Fractional coordinates of all 32 atoms:
Tl: 0.0077 0.0255 0.1167
Tl: 0.0077 0.4745 0.6167
Tl: 0.2336 0.1081 0.6367
Tl: 0.2336 0.3919 0.1367
Tl: 0.4020 0.6735 0.6137
Tl: 0.4020 0.8265 0.1137
Tl: 0.5980 0.1735 0.8863
Tl: 0.5980 0.3265 0.3863
Tl: 0.7664 0.6081 0.8633
Tl: 0.7664 0.8919 0.3633
Tl: 0.9923 0.5255 0.3833
Tl: 0.9923 0.9745 0.8833
Sn: 0.2021 0.0979 0.3759
Sn: 0.2021 0.4021 0.8759
Sn: 0.7979 0.5979 0.1241
Sn: 0.7979 0.9021 0.6241
Se: 0.0633 0.6945 0.2180
Se: 0.0633 0.8055 0.7180
Se: 0.1648 0.6419 0.9743
Se: 0.1648 0.8581 0.4743
Se: 0.3048 0.1592 0.9753
Se: 0.3048 0.3408 0.4753
Se: 0.4181 0.0701 0.2725
Se: 0.4181 0.4299 0.7725
Se: 0.5819 0.5701 0.2275
Se: 0.5819 0.9299 0.7275
Se: 0.6952 0.6592 0.5247
Se: 0.6952 0.8408 0.0247
Se: 0.8352 0.1419 0.5257
Se: 0.8352 0.3581 0.0257
Se: 0.9367 0.1945 0.2820
Se: 0.9367 0.3055 0.7820


No. 4
Zr5Sn3Se | PBE | relaxed

Results
crystal system	hexagonal

Lattice parameters (Å, degrees): 8.6567 8.6567 6.0837 90.00 90.00 120.00
Fractional coordinates of all 18 atoms:
Zr: 0.0000 0.2632 0.2500
Zr: 0.0000 0.7368 0.7500
Zr: 0.2632 0.0000 0.2500
Zr: 0.2632 0.2632 0.7500
Zr: 0.3333 0.6667 0.0000
Zr: 0.3333 0.6667 0.5000
Zr: 0.6667 0.3333 0.0000
Zr: 0.6667 0.3333 0.5000
Zr: 0.7368 0.0000 0.7500
Zr: 0.7368 0.7368 0.2500
Sn: 0.0000 0.3949 0.7500
Sn: 0.0000 0.6051 0.2500
Sn: 0.3949 0.0000 0.7500
Sn: 0.3949 0.3949 0.2500
Sn: 0.6051 0.0000 0.2500
Sn: 0.6051 0.6051 0.7500
Se: 0.0000 0.0000 0.0000
Se: 0.0000 0.0000 0.5000


no.,ΔE_f (kJ/mol of atoms)
1,-51
2,-54
3,-54
4,-81